(1)
Density functional theory data (GGA-PBE) for a geometry-optimized VWC2 structure.

Lattice parameters (Å, degrees): 3.0341 3.0341 14.8017 90.00 90.00 120.00
Space group R-3m (No. 166, hexagonal axes)
Unique sites:
V  0.0000  0.0000  0.0000 [3 per cell]
W  0.0000  0.0000  0.5000 [3 per cell]
C  0.0000  0.0000  0.2535 [6 per cell]

Computed properties:
total magnetic moment: 0.0 μB/f.u.
crystal system: trigonal


(2)
Density functional theory data (GGA-PBE) for a geometry-optimized WC structure.

Lattice parameters (Å, degrees): 4.385 4.385 4.385 90.00 90.00 90.00
Space group Fm-3m (No. 225)
Unique sites:
W  0.000  0.000  0.000 [4 per cell]
C  0.000  0.000  0.500 [4 per cell]

Computed properties:
total magnetic moment: 0.0 μB/f.u.
crystal system: cubic
energy above the most stable polymorph in this dataset: 10.32 kcal/mol of atoms


no.,formation energy from the elements (eV/atom)
1,-0.08
2,0.33